VASP calculation (PBE with a Hubbard U) on an optimized crystal structure of Mn2C3O9.

Values from the calculation:
Magnetic moment (μB/f.u.): 8.00
Distance to the lowest polymorph of the same formula (kcal/mol of atoms): 0.46
Energy of formation (eV/atom): -1.795

a = 7.420 Å, b = 7.440 Å, c = 7.470 Å
α = 119.67°, β = 91.22°, γ = 90.80°
Space group P-1 (No. 2)
One atom of each set of equivalent atoms:
Mn (0.044, 0.168, 0.335) (multiplicity 2)
Mn (0.455, 0.166, 0.330) (multiplicity 2)
C (0.247, 0.568, 0.663) (multiplicity 2)
C (0.252, 0.094, 0.931) (multiplicity 2)
C (0.252, 0.838, 0.407) (multiplicity 2)
O (0.097, 0.079, 0.841) (multiplicity 2)
O (0.099, 0.656, 0.739) (multiplicity 2)
O (0.100, 0.761, 0.419) (multiplicity 2)
O (0.245, 0.378, 0.506) (multiplicity 2)
O (0.253, 0.131, 0.123) (multiplicity 2)
O (0.254, 0.993, 0.369) (multiplicity 2)
O (0.400, 0.082, 0.843) (multiplicity 2)
O (0.402, 0.658, 0.740) (multiplicity 2)
O (0.404, 0.763, 0.423) (multiplicity 2)